LuGeIr | r²SCAN | relaxed

* DFT total energy: -35.845 eV per atom
* energy of formation from the pure elements: -1.075 eV/atom

abc: 6.6977 4.2151 7.5466
angles: 90.00 90.00 90.00
Element x y z (fractional)
Lu  0.0094  0.2500  0.1917
Lu  0.4906  0.7500  0.6917
Lu  0.5094  0.2500  0.3083
Lu  0.9906  0.7500  0.8083
Ge  0.2120  0.7500  0.3849
Ge  0.2880  0.2500  0.8849
Ge  0.7120  0.7500  0.1151
Ge  0.7880  0.2500  0.6151
Ir  0.1612  0.2500  0.5625
Ir  0.3388  0.7500  0.0625
Ir  0.6612  0.2500  0.9375
Ir  0.8388  0.7500  0.4375

---

NdGeIr | r²SCAN | relaxed

* DFT total energy: -32.803 eV per atom
* energy of formation from the pure elements: -0.920 eV/atom

abc: 7.2126 4.4636 7.4728
angles: 90.00 90.00 90.00
Element x y z (fractional)
Nd  0.0169  0.2500  0.1958
Nd  0.4831  0.7500  0.6958
Nd  0.5169  0.2500  0.3042
Nd  0.9831  0.7500  0.8042
Ge  0.1782  0.2500  0.5855
Ge  0.3218  0.7500  0.0855
Ge  0.6782  0.2500  0.9145
Ge  0.8218  0.7500  0.4145
Ir  0.1956  0.7500  0.4094
Ir  0.3044  0.2500  0.9094
Ir  0.6956  0.7500  0.0906
Ir  0.8044  0.2500  0.5906

---

PrGeIr | r²SCAN | relaxed

* DFT total energy: -32.767 eV per atom
* energy of formation from the pure elements: -0.888 eV/atom

abc: 7.3968 4.4976 7.2590
angles: 90.00 90.00 90.00
Element x y z (fractional)
Pr  0.0183  0.2500  0.1775
Pr  0.4817  0.7500  0.6775
Pr  0.5183  0.2500  0.3225
Pr  0.9817  0.7500  0.8225
Ge  0.1940  0.2500  0.6103
Ge  0.3060  0.7500  0.1103
Ge  0.6940  0.2500  0.8897
Ge  0.8060  0.7500  0.3897
Ir  0.1442  0.7500  0.4275
Ir  0.3558  0.2500  0.9275
Ir  0.6442  0.7500  0.0725
Ir  0.8558  0.2500  0.5725

---

PrGe2Ir2 | r²SCAN | relaxed

* DFT total energy: -33.242 eV per atom
* energy of formation from the pure elements: -0.869 eV/atom

abc: 4.2821 4.2821 10.0674
angles: 90.00 90.00 90.00
Element x y z (fractional)
Pr  0.2500  0.2500  0.2442
Pr  0.7500  0.7500  0.7558
Ge  0.2500  0.2500  0.6306
Ge  0.2500  0.7500  0.0000
Ge  0.7500  0.2500  0.0000
Ge  0.7500  0.7500  0.3694
Ir  0.2500  0.2500  0.8737
Ir  0.2500  0.7500  0.5000
Ir  0.7500  0.2500  0.5000
Ir  0.7500  0.7500  0.1263

---

Sc4Ge6Ir7 | r²SCAN | relaxed

* DFT total energy: -30.080 eV per atom
* energy of formation from the pure elements: -0.942 eV/atom

abc: 7.0635 7.0635 7.0635
angles: 109.47 109.47 109.47
Element x y z (fractional)
Sc  0.0000  0.0000  0.5000
Sc  0.0000  0.5000  0.0000
Sc  0.5000  0.0000  0.0000
Sc  0.5000  0.5000  0.5000
Ge  0.0000  0.3131  0.3131
Ge  0.0000  0.6869  0.6869
Ge  0.3131  0.0000  0.3131
Ge  0.3131  0.3131  0.0000
Ge  0.6869  0.0000  0.6869
Ge  0.6869  0.6869  0.0000
Ir  0.0000  0.0000  0.0000
Ir  0.2500  0.5000  0.7500
Ir  0.2500  0.7500  0.5000
Ir  0.5000  0.2500  0.7500
Ir  0.5000  0.7500  0.2500
Ir  0.7500  0.2500  0.5000
Ir  0.7500  0.5000  0.2500

---

SmGe2Ir | r²SCAN | relaxed

* DFT total energy: -28.357 eV per atom
* energy of formation from the pure elements: -0.898 eV/atom

abc: 9.4742 9.4742 9.4742
angles: 153.59 123.92 63.02
Element x y z (fractional)
Sm  0.2063  0.2063  0.0000
Sm  0.2394  0.0000  0.2394
Sm  0.7606  0.0000  0.7606
Sm  0.7937  0.7937  0.0000
Ge  0.0771  0.5771  0.5000
Ge  0.1457  0.8002  0.3455
Ge  0.4221  0.4221  0.0000
Ge  0.4546  0.8002  0.6545
Ge  0.5454  0.1998  0.3455
Ge  0.5779  0.5779  0.0000
Ge  0.8543  0.1998  0.6545
Ge  0.9229  0.4229  0.5000
Ir  0.1065  0.3540  0.7525
Ir  0.3986  0.6460  0.7525
Ir  0.6014  0.3540  0.2475
Ir  0.8935  0.6460  0.2475